Below is a relaxed Na3MgGeP3O12 crystal, with properties calculated at the PBE level.

Values from the calculation:
total magnetization	0.00	μB/cell
ΔE to the lowest computed polymorph	0.004	eV per atom
formation energy from the elements	-2599	meV/atom
symmetry	Cc (9)
V	1440	Å³ per cell

Structure (CIF):
```
data_Na3MgGeP3O12
_cell_length_a 8.742
_cell_length_b 8.742
_cell_length_c 21.762
_cell_angle_alpha 90.00
_cell_angle_beta 90.12
_cell_angle_gamma 120.00
_symmetry_space_group_name_H-M 'P 1'
_symmetry_Int_Tables_number 1
_symmetry_space_group_name_Hall 'P 1'
loop_
_atom_site_label
_atom_site_type_symbol
_atom_site_fract_x
_atom_site_fract_y
_atom_site_fract_z
Na1 Na 0.991 0.980 0.497
Na2 Na 0.991 0.010 0.997
Na3 Na 0.667 0.335 0.830
Na4 Na 0.667 0.332 0.330
Na5 Na 0.332 0.666 0.164
Na6 Na 0.332 0.667 0.664
Na7 Na 0.368 0.362 0.249
Na8 Na 0.991 0.632 0.249
Na9 Na 0.991 0.359 0.749
Na10 Na 0.368 0.006 0.749
Na11 Na 0.307 0.342 0.582
Na12 Na 0.661 0.965 0.582
Na13 Na 0.307 0.965 0.082
Na14 Na 0.661 0.696 0.082
Na15 Na 0.973 0.676 0.915
Na16 Na 0.327 0.300 0.916
Na17 Na 0.973 0.298 0.415
Na18 Na 0.327 0.028 0.416
Mg1 Mg 0.995 0.996 0.353
Mg2 Mg 0.995 0.999 0.853
Mg3 Mg 0.667 0.339 0.686
Mg4 Mg 0.667 0.328 0.186
Mg5 Mg 0.330 0.662 0.019
Mg6 Mg 0.330 0.668 0.519
Ge1 Ge 0.997 0.993 0.649
Ge2 Ge 0.997 0.005 0.149
Ge3 Ge 0.669 0.327 0.983
Ge4 Ge 0.669 0.342 0.483
Ge5 Ge 0.339 0.672 0.316
Ge6 Ge 0.339 0.667 0.816
P1 P 0.292 0.997 0.252
P2 P 0.706 0.714 0.251
P3 P 0.001 0.292 0.253
P4 P 0.292 0.295 0.752
P5 P 0.001 0.709 0.753
P6 P 0.706 0.993 0.751
P7 P 0.958 0.333 0.585
P8 P 0.371 0.042 0.585
P9 P 0.674 0.626 0.585
P10 P 0.958 0.625 0.085
P11 P 0.674 0.047 0.085
P12 P 0.371 0.329 0.085
P13 P 0.624 0.666 0.920
P14 P 0.040 0.376 0.918
P15 P 0.341 0.961 0.918
P16 P 0.624 0.958 0.420
P17 P 0.341 0.380 0.418
P18 P 0.040 0.664 0.418
O1 O 0.208 0.027 0.308
O2 O 0.826 0.796 0.304
O3 O 0.980 0.188 0.310
O4 O 0.208 0.182 0.808
O5 O 0.980 0.791 0.810
O6 O 0.826 0.030 0.804
O7 O 0.785 0.959 0.689
O8 O 0.167 0.212 0.692
O9 O 0.045 0.836 0.695
O10 O 0.785 0.826 0.189
O11 O 0.045 0.209 0.195
O12 O 0.167 0.955 0.192
O13 O 0.873 0.354 0.642
O14 O 0.484 0.125 0.641
O15 O 0.636 0.509 0.639
O16 O 0.873 0.520 0.142
O17 O 0.636 0.127 0.139
O18 O 0.484 0.359 0.141
O19 O 0.453 0.287 0.026
O20 O 0.835 0.543 0.026
O21 O 0.709 0.163 0.024
O22 O 0.453 0.166 0.526
O23 O 0.709 0.546 0.524
O24 O 0.835 0.291 0.526
O25 O 0.543 0.689 0.977
O26 O 0.157 0.463 0.972
O27 O 0.308 0.848 0.974
O28 O 0.543 0.854 0.477
O29 O 0.308 0.460 0.474
O30 O 0.157 0.694 0.472
O31 O 0.118 0.621 0.357
O32 O 0.497 0.876 0.361
O33 O 0.373 0.495 0.358
O34 O 0.118 0.497 0.857
O35 O 0.373 0.878 0.858
O36 O 0.497 0.621 0.861
O37 O 0.019 0.825 0.410
O38 O 0.810 0.990 0.411
O39 O 0.181 0.194 0.411
O40 O 0.019 0.194 0.910
O41 O 0.181 0.987 0.911
O42 O 0.810 0.820 0.911
O43 O 0.971 0.156 0.588
O44 O 0.185 0.033 0.590
O45 O 0.843 0.817 0.590
O46 O 0.971 0.815 0.088
O47 O 0.843 0.026 0.090
O48 O 0.185 0.153 0.090
O49 O 0.678 0.152 0.743
O50 O 0.472 0.313 0.744
O51 O 0.847 0.523 0.745
O52 O 0.678 0.526 0.243
O53 O 0.847 0.324 0.245
O54 O 0.472 0.159 0.244
O55 O 0.638 0.489 0.923
O56 O 0.854 0.367 0.923
O57 O 0.511 0.152 0.923
O58 O 0.638 0.149 0.423
O59 O 0.511 0.358 0.423
O60 O 0.854 0.486 0.423
O61 O 0.352 0.492 0.077
O62 O 0.144 0.658 0.078
O63 O 0.514 0.860 0.077
O64 O 0.352 0.861 0.577
O65 O 0.514 0.653 0.577
O66 O 0.144 0.487 0.578
O67 O 0.300 0.820 0.256
O68 O 0.515 0.693 0.256
O69 O 0.178 0.482 0.255
O70 O 0.300 0.480 0.756
O71 O 0.178 0.696 0.755
O72 O 0.515 0.823 0.756
```